Entry 1:
Rb2O after structural relaxation, computed with PBE.

Unit cell a=4.3709 b=6.5190 c=7.7283 alpha=90.00 beta=122.53 gamma=90.00
With the nearest neighbours (Å) after each atom.
Space group P2_1/c (No. 14)
One atom of each set of equivalent atoms:
1 Rb 0.2152 0.1492 0.2271  3 O 2.81-2.90
2 O 0.5000 0.0000 0.0000  6 Rb 2.81-2.90

Computed properties:
Formation energy in eV/atom: -1.115
Size of the total moment in μB per cell: 0.000
Electronic total energy in eV/atom: -3.189
Volume in Å³/f.u.: 92.8

***

Entry 2:
UB4Mo after structural relaxation, computed with PBE.

Unit cell a=7.3372 b=9.3557 c=3.6724 alpha=90.00 beta=90.00 gamma=90.00
With the nearest neighbours (Å) after each atom.
Space group Cmmm (No. 65)
One atom of each set of equivalent atoms:
1 U 0.0000 0.1990 0.0000  14 B 2.67-2.80, 2 Mo 2.98
2 B 0.0000 0.4068 0.5000  3 B 1.74-1.76
3 B 0.1198 0.0000 0.5000  3 B 1.76-1.88
4 B 0.2242 0.3406 0.5000  3 B 1.74-1.88
5 Mo 0.1826 0.5000 0.0000  10 B 2.34-2.43

Computed properties:
Formation energy in eV/atom: -0.534
Size of the total moment in μB per cell: 2.079
Electronic total energy in eV/atom: -8.676
Volume in Å³/f.u.: 63.0

***

Entry 3:
Sn3Mo15Se19 after structural relaxation, computed with PBE.

Unit cell a=9.8826 b=19.6731 c=9.9126 alpha=90.00 beta=119.75 gamma=90.00
With the nearest neighbours (Å) after each atom.
Space group P2_1/m (No. 11)
One atom of each set of equivalent atoms:
1 Sn 0.1644 0.1073 0.3503  2 Se 2.75-3.07
2 Sn 0.3258 0.2500 0.0371  6 Se 2.77-3.01, 1 Mo 2.92
3 Mo 0.0055 0.6349 0.3191  5 Se 2.54-2.73, 4 Mo 2.66-2.75
4 Mo 0.0120 0.7500 0.1644  4 Se 2.59-2.69, 6 Mo 2.74-2.78
5 Mo 0.1488 0.7500 0.4824  4 Se 2.57-2.61, 6 Mo 2.74-2.76
6 Mo 0.1877 0.6353 0.1890  5 Se 2.54-2.74, 4 Mo 2.66-2.78
7 Mo 0.3136 0.6350 0.4960  5 Se 2.54-2.72, 4 Mo 2.66-2.78
8 Mo 0.3305 0.7500 0.3425  4 Se 2.58-2.61, 6 Mo 2.70-2.78
9 Mo 0.3420 0.0566 0.9857  5 Se 2.61-2.75, 4 Mo 2.66-2.71
10 Mo 0.3490 0.5569 0.8341  5 Se 2.53-2.75, 4 Mo 2.66-2.75
11 Mo 0.4856 0.5564 0.1523  5 Se 2.53-2.73, 4 Mo 2.66-2.75
12 Se 0.1116 0.1336 0.9893  4 Mo 2.59-2.75
13 Se 0.1226 0.6416 0.6200  4 Mo 2.61-2.75
14 Se 0.1500 0.2500 0.6880  4 Mo 2.57-2.72
15 Se 0.1680 0.5324 0.3339  3 Mo 2.54, 1 Sn 2.75
16 Se 0.1788 0.5514 0.9647  4 Mo 2.58-2.74
17 Se 0.1904 0.7500 0.0422  4 Mo 2.59-2.69
18 Se 0.2126 0.0513 0.6752  4 Mo 2.59-2.73
19 Se 0.4496 0.7500 0.6404  4 Mo 2.58-2.66, 1 Sn 2.85
20 Se 0.4654 0.0531 0.2868  4 Mo 2.59-2.71
21 Se 0.4779 0.6605 0.9988  3 Mo 2.53-2.66, 1 Sn 2.77
22 Se 0.4961 0.6416 0.3744  4 Mo 2.61-2.73

Computed properties:
Formation energy in eV/atom: -0.712
Size of the total moment in μB per cell: 0.013
Electronic total energy in eV/atom: -6.987
Volume in Å³/f.u.: 836.6

***

Entry 4:
Hf6Si7Ni16 after structural relaxation, computed with PBE.

Unit cell a=11.4070 b=11.4070 c=11.4070 alpha=90.00 beta=90.00 gamma=90.00
With the nearest neighbours (Å) after each atom.
Space group Fm-3m (No. 225)
One atom of each set of equivalent atoms:
1 Hf 0.0000 0.0000 0.2058  8 Ni 2.74-2.77, 4 Si 2.90
2 Si 0.0000 0.0000 0.5000  8 Ni 2.33
3 Si 0.0000 0.2500 0.2500  8 Ni 2.33-2.52
4 Ni 0.1181 0.1181 0.3819  4 Si 2.33-2.52, 3 Ni 2.57
5 Ni 0.1680 0.1680 0.1680  3 Si 2.33, 3 Ni 2.57

Computed properties:
Formation energy in eV/atom: -0.781
Electronic total energy in eV/atom: -7.340
Volume in Å³/f.u.: 371.1

***

Entry 5:
CaSn2O4 after structural relaxation, computed with PBE.

Unit cell a=12.1418 b=6.5898 c=16.9151 alpha=90.00 beta=90.56 gamma=90.00
With the nearest neighbours (Å) after each atom.
Space group Cm (No. 8)
One atom of each set of equivalent atoms:
1 Ca 0.0000 0.0000 0.0000  4 O 2.23-2.46
2 Ca 0.0001 0.0000 0.3874  6 O 2.41-2.45
3 Ca 0.1520 0.5000 0.6844  4 O 2.20-2.30
4 Ca 0.3096 0.0000 0.0935  4 O 2.24-2.42
5 Ca 0.3169 0.0000 0.3398  4 O 2.21-2.39
6 Ca 0.4819 0.5000 0.7546  4 O 2.30-2.50
7 Sn 0.0030 0.5000 0.8806  3 O 2.19-2.21
8 Sn 0.0666 0.2474 0.2161  6 O 2.09-2.26
9 Sn 0.1562 0.5000 0.0596  3 O 2.23-2.34
10 Sn 0.1592 0.0000 0.5549  6 O 2.06-2.20
11 Sn 0.1701 0.5000 0.4341  3 O 2.25-2.28
12 Sn 0.2415 0.2486 0.8815  6 O 2.07-2.23
13 Sn 0.3121 0.0000 0.7184  6 O 2.03-2.23
14 Sn 0.3270 0.5000 0.2236  4 O 2.30-2.49
15 Sn 0.4144 0.2413 0.5525  3 O 2.27-2.31
16 O 0.9995 0.5000 0.1389  3 Sn 2.26-2.34, 1 Ca 2.42
17 O 0.0034 0.0000 0.6196  3 Sn 2.20-2.31, 1 Ca 2.30
18 O 0.0763 0.2334 0.4868  3 Sn 2.16-2.28
19 O 0.0912 0.2488 0.9402  2 Sn 2.09-2.21, 1 Ca 2.23
20 O 0.1345 0.5000 0.2737  2 Sn 2.09
21 O 0.1355 0.0000 0.2838  2 Sn 2.16, 2 Ca 2.39-2.42
22 O 0.1616 0.5000 0.8203  3 Sn 2.18-2.19, 1 Ca 2.30
23 O 0.1758 0.0000 0.8054  3 Sn 2.23
24 O 0.2026 0.2468 0.1408  2 Sn 2.10-2.23, 1 Ca 2.24
25 O 0.2271 0.2043 0.6404  2 Sn 2.14, 1 Ca 2.28
26 O 0.2747 0.0000 0.4664  1 Sn 2.06, 1 Ca 2.21
27 O 0.2921 0.0000 0.9555  2 Sn 2.15, 1 Ca 2.34
28 O 0.3232 0.5000 0.9406  2 Sn 2.17, 1 Ca 2.36
29 O 0.3464 0.5000 0.4764  3 Sn 2.25-2.29, 1 Ca 2.41
30 O 0.3570 0.2510 0.7924  2 Sn 2.07-2.14
31 O 0.4291 0.2599 0.2906  2 Sn 2.10-2.30, 1 Ca 2.35
32 O 0.4711 0.0000 0.6820  1 Sn 2.03, 1 Ca 2.20
33 O 0.4978 0.5000 0.1453  2 Sn 2.18

Computed properties:
Formation energy in eV/atom: -2.201
Size of the total moment in μB per cell: 0.000
Electronic total energy in eV/atom: -6.067
Volume in Å³/f.u.: 112.8

***

Entry 6:
Na5Ca4Si6O18 after structural relaxation, computed with PBE.

Unit cell a=10.6491 b=10.6491 c=13.3770 alpha=90.00 beta=90.00 gamma=120.00
With the nearest neighbours (Å) after each atom.
Space group P3_1 (No. 144)
One atom of each set of equivalent atoms:
1 Na 0.9998 0.6642 0.0000  4 O 2.26-2.48
2 Na 0.0156 0.1647 0.2633  5 O 2.43-2.70
3 Na 0.1338 0.4917 0.9267  3 O 2.52-2.66
4 Na 0.1782 0.0372 0.4299  4 O 2.30-2.51
5 Na 0.4837 0.1705 0.2559  6 O 2.52-2.69
6 Ca 0.0202 0.6847 0.5083  5 O 2.30-2.49
7 Ca 0.0235 0.6672 0.2506  6 O 2.31-2.47
8 Ca 0.1602 0.4845 0.4212  5 O 2.29-2.50
9 Ca 0.4997 0.1848 0.7456  4 O 2.30-2.50
10 Si 0.0129 0.1702 0.0275  4 O 1.62-1.69
11 Si 0.1357 0.5139 0.6951  4 O 1.64-1.69
12 Si 0.1834 0.0388 0.1572  4 O 1.60-1.68
13 Si 0.1842 0.4723 0.1481  4 O 1.62-1.70
14 Si 0.4820 0.1879 0.0178  4 O 1.63-1.67
15 Si 0.5103 0.1648 0.4829  4 O 1.62-1.68
16 O 0.0111 0.9337 0.7665  2 Si 1.67-1.68
17 O 0.0534 0.3273 0.0853  2 Si 1.69-1.70
18 O 0.0859 0.5211 0.5806  1 Si 1.64
19 O 0.0945 0.2034 0.9202  1 Si 1.62
20 O 0.1182 0.8653 0.1445  1 Si 1.63
21 O 0.1430 0.5981 0.1268  1 Si 1.63
22 O 0.1729 0.6659 0.7541  2 Si 1.66
23 O 0.1879 0.4230 0.2621  1 Si 1.62
24 O 0.2107 0.7351 0.3811  1 Si 1.64
25 O 0.2213 0.1111 0.2659  1 Si 1.60
26 O 0.2512 0.1640 0.7017  1 Si 1.64
27 O 0.3322 0.1064 0.0853  2 Si 1.65-1.68
28 O 0.3952 0.0106 0.4238  2 Si 1.68-1.69
29 O 0.4444 0.2729 0.4748  1 Si 1.62
30 O 0.4459 0.2250 0.9072  1 Si 1.63
31 O 0.5300 0.4386 0.6994  1 Si 1.64
32 O 0.5530 0.1290 0.5911  1 Si 1.62
33 O 0.5952 0.3422 0.0761  2 Si 1.67-1.68

Computed properties:
Formation energy in eV/atom: -3.019
Size of the total moment in μB per cell: 0.002
Electronic total energy in eV/atom: -6.773
Volume in Å³/f.u.: 437.9

***

- Which of these has the lowest volume?
  UB4Mo

***

- Among the records above, which one has the highest electronic total energy?
  Rb2O

***

Repeat the third record exactly.
Sn3Mo15Se19 after structural relaxation, computed with PBE.

Unit cell a=9.8826 b=19.6731 c=9.9126 alpha=90.00 beta=119.75 gamma=90.00
With the nearest neighbours (Å) after each atom.
Space group P2_1/m (No. 11)
One atom of each set of equivalent atoms:
1 Sn 0.1644 0.1073 0.3503  2 Se 2.75-3.07
2 Sn 0.3258 0.2500 0.0371  6 Se 2.77-3.01, 1 Mo 2.92
3 Mo 0.0055 0.6349 0.3191  5 Se 2.54-2.73, 4 Mo 2.66-2.75
4 Mo 0.0120 0.7500 0.1644  4 Se 2.59-2.69, 6 Mo 2.74-2.78
5 Mo 0.1488 0.7500 0.4824  4 Se 2.57-2.61, 6 Mo 2.74-2.76
6 Mo 0.1877 0.6353 0.1890  5 Se 2.54-2.74, 4 Mo 2.66-2.78
7 Mo 0.3136 0.6350 0.4960  5 Se 2.54-2.72, 4 Mo 2.66-2.78
8 Mo 0.3305 0.7500 0.3425  4 Se 2.58-2.61, 6 Mo 2.70-2.78
9 Mo 0.3420 0.0566 0.9857  5 Se 2.61-2.75, 4 Mo 2.66-2.71
10 Mo 0.3490 0.5569 0.8341  5 Se 2.53-2.75, 4 Mo 2.66-2.75
11 Mo 0.4856 0.5564 0.1523  5 Se 2.53-2.73, 4 Mo 2.66-2.75
12 Se 0.1116 0.1336 0.9893  4 Mo 2.59-2.75
13 Se 0.1226 0.6416 0.6200  4 Mo 2.61-2.75
14 Se 0.1500 0.2500 0.6880  4 Mo 2.57-2.72
15 Se 0.1680 0.5324 0.3339  3 Mo 2.54, 1 Sn 2.75
16 Se 0.1788 0.5514 0.9647  4 Mo 2.58-2.74
17 Se 0.1904 0.7500 0.0422  4 Mo 2.59-2.69
18 Se 0.2126 0.0513 0.6752  4 Mo 2.59-2.73
19 Se 0.4496 0.7500 0.6404  4 Mo 2.58-2.66, 1 Sn 2.85
20 Se 0.4654 0.0531 0.2868  4 Mo 2.59-2.71
21 Se 0.4779 0.6605 0.9988  3 Mo 2.53-2.66, 1 Sn 2.77
22 Se 0.4961 0.6416 0.3744  4 Mo 2.61-2.73

Computed properties:
Formation energy in eV/atom: -0.712
Size of the total moment in μB per cell: 0.013
Electronic total energy in eV/atom: -6.987
Volume in Å³/f.u.: 836.6

***

- The highest formation energy belongs to which entry?
  UB4Mo